(1)
VASP calculation (PBE-GGA) on a relaxed structure of BaMg.

Space group   No. 51
Electronic total energy   -1.815 eV per atom
Calculated formation energy   -0.11 eV per formula unit

abc: 4.3848 6.1850 6.1970
angles: 90.00 90.00 90.00
Closest atoms and distances in Å follow each position.
Sites, in units of the cell vectors:
Ba1 0.0000 0.2436 0.2500  8 Mg 3.78-3.80
Mg1 0.5000 0.7419 0.2500  8 Ba 3.78-3.80
Mg2 0.5000 0.2581 0.7500  8 Ba 3.78-3.80
Ba2 0.0000 0.7564 0.7500  8 Mg 3.78-3.80

---

(2)
VASP calculation (PBE-GGA) on a relaxed structure of PrTl2InSe4.

Space group   No. 121
Electronic total energy   -4.132 eV per atom
Calculated formation energy   -8.70 eV per formula unit

abc: 6.7917 6.7917 6.7917
angles: 65.07 73.19 106.81
Closest atoms and distances in Å follow each position.
Sites, in units of the cell vectors:
Se1 0.5000 0.3441 0.7911  1 In 2.65, 1 Pr 2.91
Se2 0.5000 0.7089 0.1559  1 In 2.65, 1 Pr 2.91
In1 0.5000 0.7500 0.7500  4 Se 2.65
Se3 0.8648 0.1559 0.3441  1 In 2.65, 1 Pr 2.91
Tl1 0.0000 0.2500 0.7500  8 Se 3.39-3.59, 2 Tl 3.65
Pr1 0.5000 0.2500 0.2500  4 Se 2.91
Tl2 0.0000 0.7500 0.2500  8 Se 3.39-3.59, 2 Tl 3.65
Se4 0.1352 0.7911 0.7089  1 In 2.65, 1 Pr 2.91

---

(3)
VASP calculation (PBE-GGA) on a relaxed structure of SnO2.

Space group   No. 60
Electronic total energy   -6.267 eV per atom
Calculated formation energy   -6.27 eV per formula unit

abc: 4.7930 5.3134 5.8308
angles: 90.00 90.00 90.00
Closest atoms and distances in Å follow each position.
Sites, in units of the cell vectors:
O1 0.2302 0.9218 0.8930  3 Sn 2.07-2.14
Sn1 0.5000 0.2500 0.3349  6 O 2.07-2.14
O2 0.7698 0.0782 0.1070  3 Sn 2.07-2.14
O3 0.7302 0.0782 0.6070  3 Sn 2.07-2.14
Sn2 0.0000 0.2500 0.8349  6 O 2.07-2.14
Sn3 0.5000 0.7500 0.6651  6 O 2.07-2.14
O4 0.2698 0.4218 0.6070  3 Sn 2.07-2.14
O5 0.2302 0.4218 0.1070  3 Sn 2.07-2.14
O6 0.2698 0.9218 0.3930  3 Sn 2.07-2.14
O7 0.7302 0.5782 0.3930  3 Sn 2.07-2.14
O8 0.7698 0.5782 0.8930  3 Sn 2.07-2.14
Sn4 0.0000 0.7500 0.1651  6 O 2.07-2.14

---

(4)
VASP calculation (PBE-GGA) on a relaxed structure of CsRb2AsF6.

Space group   No. 225
Electronic total energy   -4.337 eV per atom
Calculated formation energy   -27.14 eV per formula unit

abc: 6.8909 6.8909 6.8909
angles: 60.00 60.00 60.00
Closest atoms and distances in Å follow each position.
Sites, in units of the cell vectors:
As1 0.0000 0.0000 0.0000  6 F 2.07
F1 0.7873 0.2127 0.2127  1 As 2.07
F2 0.7873 0.7873 0.2127  1 As 2.07
F3 0.2127 0.2127 0.7873  1 As 2.07
F4 0.2127 0.7873 0.7873  1 As 2.07
Rb1 0.7500 0.7500 0.7500  12 F 3.46
Rb2 0.2500 0.2500 0.2500  12 F 3.46
Cs1 0.5000 0.5000 0.5000  6 F 2.80
F5 0.2127 0.7873 0.2127  1 As 2.07
F6 0.7873 0.2127 0.7873  1 As 2.07

---

(5)
VASP calculation (PBE-GGA) on a relaxed structure of KGaF4.

Space group   No. 62
Electronic total energy   -4.709 eV per atom
Calculated formation energy   -18.30 eV per formula unit

abc: 7.6232 7.8064 12.4016
angles: 90.00 90.00 90.00
Closest atoms and distances in Å follow each position.
Sites, in units of the cell vectors:
F1 0.5398 0.6250 0.7458  2 Ga 1.98
F2 0.2500 0.4106 0.7125  2 Ga 1.97
K1 0.2500 0.6247 0.9846  7 F 2.67-2.90
F3 0.7500 0.3395 0.7830  2 Ga 1.98
F4 0.0464 0.3845 0.8953  1 Ga 1.86
F5 0.9602 0.8750 0.2458  2 Ga 1.98
Ga1 0.5007 0.6250 0.2516  6 F 1.86-1.98
F6 0.7500 0.1605 0.2830  2 Ga 1.98
F7 0.5443 0.1341 0.1014  1 Ga 1.86
Ga2 0.5007 0.8750 0.7516  6 F 1.86-1.98
F8 0.9602 0.6250 0.7458  2 Ga 1.98
F9 0.0398 0.1250 0.7542  2 Ga 1.98
Ga3 0.4993 0.3750 0.7484  6 F 1.86-1.98
K2 0.7500 0.6256 0.5274  7 F 2.72-2.99
K3 0.7500 0.8744 0.0274  7 F 2.72-2.99
F10 0.4557 0.6341 0.3986  1 Ga 1.86
Ga4 0.9993 0.6250 0.2516  6 F 1.86-1.98
F11 0.4602 0.1250 0.7542  2 Ga 1.98
F12 0.5464 0.8845 0.6047  1 Ga 1.86
Ga5 0.9993 0.8750 0.7516  6 F 1.86-1.98
F13 0.2500 0.0894 0.2125  2 Ga 1.97
F14 0.0398 0.3750 0.2542  2 Ga 1.98
F15 0.0443 0.6341 0.3986  1 Ga 1.86
K4 0.7500 0.3753 0.0154  7 F 2.67-2.90
K5 0.2500 0.8753 0.4846  7 F 2.67-2.90
Ga6 0.4993 0.1250 0.2484  6 F 1.86-1.98
Ga7 0.0007 0.3750 0.7484  6 F 1.86-1.98
K6 0.2500 0.1256 0.9726  7 F 2.72-2.99
F16 0.0464 0.1155 0.3953  1 Ga 1.86
F17 0.4536 0.1155 0.3953  1 Ga 1.86
F18 0.5398 0.8750 0.2458  2 Ga 1.98
F19 0.9536 0.6155 0.1047  1 Ga 1.86
F20 0.4536 0.3845 0.8953  1 Ga 1.86
F21 0.5464 0.6155 0.1047  1 Ga 1.86
F22 0.2500 0.6605 0.2170  2 Ga 1.98
F23 0.0443 0.8659 0.8986  1 Ga 1.86
F24 0.9557 0.3659 0.6014  1 Ga 1.86
Ga8 0.0007 0.1250 0.2484  6 F 1.86-1.98
F25 0.2500 0.8395 0.7170  2 Ga 1.98
F26 0.7500 0.5894 0.2875  2 Ga 1.97
K7 0.7500 0.1247 0.5154  7 F 2.67-2.90
F27 0.5443 0.3659 0.6014  1 Ga 1.86
F28 0.7500 0.9106 0.7875  2 Ga 1.97
F29 0.4557 0.8659 0.8986  1 Ga 1.86
K8 0.2500 0.3744 0.4726  7 F 2.72-2.99
F30 0.9557 0.1341 0.1014  1 Ga 1.86
F31 0.9536 0.8845 0.6047  1 Ga 1.86
F32 0.4602 0.3750 0.2542  2 Ga 1.98

---

(6)
VASP calculation (PBE-GGA) on a relaxed structure of AcTlRh2.

Space group   No. 225
Electronic total energy   -5.629 eV per atom
Calculated formation energy   -1.30 eV per formula unit

abc: 4.9798 4.9798 4.9798
angles: 60.00 60.00 60.00
Closest atoms and distances in Å follow each position.
Sites, in units of the cell vectors:
Rh1 0.2500 0.2500 0.2500  4 Tl 3.05, 4 Ac 3.05
Rh2 0.7500 0.7500 0.7500  4 Ac 3.05, 4 Tl 3.05
Tl1 0.0000 0.0000 0.0000  8 Rh 3.05
Ac1 0.5000 0.5000 0.5000  8 Rh 3.05

---

(7)
VASP calculation (PBE-GGA) on a relaxed structure of TiGaNi.

Space group   No. 189
Electronic total energy   -6.117 eV per atom
Calculated formation energy   -1.65 eV per formula unit

abc: 6.8117 6.8117 3.1257
angles: 90.00 90.00 120.00
Closest atoms and distances in Å follow each position.
Sites, in units of the cell vectors:
Ni1 0.6667 0.3333 0.0000  3 Ga 2.50, 6 Ti 2.62
Ti1 0.3922 0.3922 0.5000  5 Ni 2.62-2.67, 6 Ga 2.76-2.84
Ni2 0.3333 0.6667 0.0000  3 Ga 2.50, 6 Ti 2.62
Ni3 0.0000 0.0000 0.5000  6 Ga 2.44, 3 Ti 2.67
Ga1 0.7259 0.7259 0.0000  4 Ni 2.44-2.50
Ga2 0.0000 0.2741 0.0000  4 Ni 2.44-2.50
Ti2 0.0000 0.6078 0.5000  5 Ni 2.62-2.67, 6 Ga 2.76-2.84
Ti3 0.6078 0.0000 0.5000  5 Ni 2.62-2.67, 6 Ga 2.76-2.84
Ga3 0.2741 0.0000 0.0000  4 Ni 2.44-2.50

---

(8)
VASP calculation (PBE-GGA) on a relaxed structure of Y2CrH6.

Space group   No. 225
Electronic total energy   -5.259 eV per atom
Calculated formation energy   -5.46 eV per formula unit

abc: 4.9488 4.9488 4.9488
angles: 60.00 60.00 60.00
Closest atoms and distances in Å follow each position.
Sites, in units of the cell vectors:
Cr1 0.0000 0.0000 0.0000  6 H 1.72
Y1 0.2500 0.2500 0.2500  12 H 2.47
H1 0.2456 0.7544 0.2456  1 Cr 1.72
Y2 0.7500 0.7500 0.7500  12 H 2.47
H2 0.2456 0.2456 0.7544  1 Cr 1.72
H3 0.7544 0.2456 0.7544  1 Cr 1.72
H4 0.7544 0.7544 0.2456  1 Cr 1.72
H5 0.7544 0.2456 0.2456  1 Cr 1.72
H6 0.2456 0.7544 0.7544  1 Cr 1.72

---

(9)
VASP calculation (PBE-GGA) on a relaxed structure of PrP3H6O12.

Space group   No. 174
Electronic total energy   -6.469 eV per atom
Calculated formation energy   -49.82 eV per formula unit

abc: 6.8743 6.8743 6.1252
angles: 90.00 90.00 120.00
Closest atoms and distances in Å follow each position.
Sites, in units of the cell vectors:
O1 0.2710 0.2494 0.2881  1 P 1.50
O2 0.6140 0.5152 0.5000  2 P 1.62
O3 0.3431 0.9387 0.0000  2 H 0.98
H1 0.0570 0.4894 0.8741  1 O 0.98
O4 0.4848 0.0987 0.5000  2 P 1.62
O5 0.0613 0.4044 0.0000  2 H 0.98
H2 0.4324 0.9430 0.1259  1 O 0.98
H3 0.0570 0.4894 0.1259  1 O 0.98
O6 0.5956 0.6569 0.0000  2 H 0.98
Pr1 0.0000 0.0000 0.0000  9 O 2.52-2.60
H4 0.5106 0.5676 0.1259  1 O 0.98
O7 0.9784 0.7290 0.7119  1 P 1.50
O8 0.2710 0.2494 0.7119  1 P 1.50
O9 0.9784 0.7290 0.2881  1 P 1.50
O10 0.9013 0.3860 0.5000  2 P 1.62
H5 0.4324 0.9430 0.8741  1 O 0.98
P1 0.3885 0.2705 0.5000  4 O 1.50-1.62
P2 0.7295 0.1180 0.5000  4 O 1.50-1.62
H6 0.5106 0.5676 0.8741  1 O 0.98
O11 0.7506 0.0216 0.7119  1 P 1.50
O12 0.7506 0.0216 0.2881  1 P 1.50
P3 0.8820 0.6115 0.5000  4 O 1.50-1.62

---

(10)
VASP calculation (PBE-GGA) on a relaxed structure of W.

Space group   No. 229
Electronic total energy   -12.958 eV per atom
Energy above the most stable polymorph in this dataset   0 meV per atom
Calculated formation energy   0.00 eV per formula unit

abc: 2.7604 2.7604 2.7604
angles: 109.47 109.47 109.47
Closest atoms and distances in Å follow each position.
Sites, in units of the cell vectors:
W1 0.0000 0.0000 0.0000  8 W 2.76

---

(11)
VASP calculation (PBE-GGA) on a relaxed structure of BaNaAlF6.

Space group   No. 33
Electronic total energy   -5.574 eV per atom
Calculated formation energy   -34.47 eV per formula unit

abc: 5.5250 10.0326 18.9605
angles: 90.00 90.00 90.00
Closest atoms and distances in Å follow each position.
Sites, in units of the cell vectors:
F1 0.3038 0.2986 0.8038  1 Al 1.83
F2 0.9226 0.6550 0.0776  1 Al 1.82
F3 0.5113 0.4988 0.4699  1 Al 1.84
F4 0.5774 0.6550 0.5776  1 Al 1.82
Na1 0.2594 0.0646 0.8138  7 F 2.34-2.61
F5 0.5240 0.3505 0.2114  1 Al 1.84
F6 0.7061 0.7285 0.4481  1 Al 1.83
F7 0.5530 0.8706 0.3248  1 Al 1.81
F8 0.4470 0.3706 0.6752  1 Al 1.81
Na2 0.2406 0.0646 0.3138  7 F 2.34-2.61
Na3 0.7406 0.5646 0.1862  7 F 2.34-2.61
F9 0.6962 0.7986 0.1962  1 Al 1.83
Al1 0.7514 0.9364 0.2571  6 F 1.81-1.85
Na4 0.7361 0.9627 0.4332  6 F 2.32-2.52
Ba1 0.2582 0.6984 0.8888  7 F 2.64-2.93
F10 0.1604 0.9501 0.4321  1 Al 1.85
F11 0.8396 0.4501 0.5679  1 Al 1.85
Na5 0.7594 0.5646 0.6862  7 F 2.34-2.61
Ba2 0.2418 0.6984 0.3888  7 F 2.64-2.93
F12 0.1853 0.5761 0.6821  1 Al 1.85
F13 0.9760 0.3505 0.7114  1 Al 1.84
Al2 0.2486 0.4364 0.7429  6 F 1.81-1.85
F14 0.5029 0.5272 0.7824  1 Al 1.83
F15 0.0461 0.6753 0.5367  1 Al 1.84
Ba3 0.7633 0.3292 0.8622  8 F 2.64-2.94
F16 0.8038 0.7986 0.6962  1 Al 1.83
F17 0.0029 0.0272 0.7176  1 Al 1.83
Ba4 0.2633 0.8292 0.6378  8 F 2.64-2.94
Al3 0.2514 0.4364 0.2429  6 F 1.81-1.85
Ba5 0.7418 0.1984 0.1112  7 F 2.64-2.93
F18 0.4760 0.8505 0.7886  1 Al 1.84
F19 0.4887 0.9988 0.5301  1 Al 1.84
F20 0.2061 0.2285 0.0519  1 Al 1.83
F21 0.0113 0.9988 0.0301  1 Al 1.84
F22 0.7939 0.7285 0.9481  1 Al 1.83
F23 0.5461 0.1753 0.9633  1 Al 1.84
Al4 0.2692 0.0898 0.9922  6 F 1.82-1.85
F24 0.4539 0.6753 0.0367  1 Al 1.84
F25 0.0473 0.5188 0.8078  1 Al 1.85
F26 0.8147 0.0761 0.3179  1 Al 1.85
F27 0.3147 0.5761 0.1821  1 Al 1.85
Ba6 0.7582 0.1984 0.6112  7 F 2.64-2.93
F28 0.0391 0.0078 0.5593  1 Al 1.85
Ba7 0.7367 0.3292 0.3622  8 F 2.64-2.94
F29 0.9470 0.8706 0.8248  1 Al 1.81
Al5 0.7486 0.9364 0.7571  6 F 1.81-1.85
F30 0.6853 0.0761 0.8179  1 Al 1.85
F31 0.4226 0.1550 0.4224  1 Al 1.82
Al6 0.7308 0.5898 0.0078  6 F 1.82-1.85
Al7 0.2308 0.0898 0.4922  6 F 1.82-1.85
F32 0.5391 0.5078 0.9407  1 Al 1.85
F33 0.3396 0.9501 0.9321  1 Al 1.85
F34 0.4609 0.0078 0.0593  1 Al 1.85
F35 0.6604 0.4501 0.0679  1 Al 1.85
F36 0.4527 0.5188 0.3078  1 Al 1.85
Al8 0.7692 0.5898 0.5078  6 F 1.82-1.85
F37 0.9539 0.1753 0.4633  1 Al 1.84
Ba8 0.2367 0.8292 0.1378  8 F 2.64-2.94
F38 0.0774 0.1550 0.9224  1 Al 1.82
F39 0.4971 0.0272 0.2176  1 Al 1.83
F40 0.9971 0.5272 0.2824  1 Al 1.83
F41 0.0240 0.8505 0.2886  1 Al 1.84
F42 0.1962 0.2986 0.3038  1 Al 1.83
F43 0.2939 0.2285 0.5519  1 Al 1.83
F44 0.9887 0.4988 0.9699  1 Al 1.84
F45 0.9527 0.0188 0.1922  1 Al 1.85
F46 0.5473 0.0188 0.6922  1 Al 1.85
Na6 0.2639 0.4627 0.5668  6 F 2.32-2.52
F47 0.0530 0.3706 0.1752  1 Al 1.81
Na7 0.7639 0.9627 0.9332  6 F 2.32-2.52
Na8 0.2361 0.4627 0.0668  6 F 2.32-2.52
F48 0.9609 0.5078 0.4407  1 Al 1.85

---

(12)
VASP calculation (PBE-GGA) on a relaxed structure of SrCd2As2.

Space group   No. 164
Electronic total energy   -3.196 eV per atom
Calculated formation energy   -3.12 eV per formula unit

abc: 4.5259 4.5259 7.4966
angles: 90.00 90.00 120.00
Closest atoms and distances in Å follow each position.
Sites, in units of the cell vectors:
As1 0.3333 0.6667 0.7504  4 Cd 2.76-2.87
As2 0.6667 0.3333 0.2496  4 Cd 2.76-2.87
Sr1 0.0000 0.0000 0.0000  6 As 3.21
Cd1 0.3333 0.6667 0.3675  4 As 2.76-2.87
Cd2 0.6667 0.3333 0.6325  4 As 2.76-2.87